[1]
This record from the Materials Project describes a geometry-optimized Cu structure. The functional is PBE.

Computed properties:
Electronic total energy: -4.06 eV for the cell shown
Energy above the lowest structure with this stoichiometry: 37 meV per atom
DFT formation energy: 0.04 eV per atom
Density: 8.9 g/cm³

Cell: 2.488 2.488 2.488 Å, 109.47 109.47 109.47°
Sites, in units of the cell vectors:
Cu 0.000 0.000 0.000



[2]
This record from the Materials Project describes a geometry-optimized Ba4MgRh4O12 structure. The functional is PBE.

Computed properties:
Electronic total energy: -132.26 eV for the cell shown
Energy above the lowest structure with this stoichiometry: 0 meV per atom
DFT formation energy: -2.02 eV per atom
Total magnetization: 1.97 μB per cell
Density: 6.4 g/cm³

Cell: 6.048 5.717 10.207 Å, 90.00 97.90 118.20°
Sites, in units of the cell vectors:
Ba 0.814 0.407 0.713
Ba 0.329 0.665 0.260
Ba 0.059 0.029 0.481
Ba 0.895 0.948 0.052
Mg 0.367 0.183 0.864
Rh 0.350 0.675 0.880
Rh 0.696 0.348 0.389
Rh 0.565 0.283 0.121
Rh 0.415 0.708 0.611
O 0.262 0.385 0.727
O 0.777 0.156 0.248
O 0.353 0.176 0.277
O 0.663 0.831 0.785
O 0.262 0.877 0.727
O 0.777 0.621 0.248
O 0.620 0.044 0.512
O 0.327 0.403 0.012
O 0.327 0.924 0.012
O 0.620 0.576 0.512
O 0.089 0.545 0.470
O 0.745 0.373 0.963



[3]
This record from the Materials Project describes a geometry-optimized V3Ga structure. The functional is PBE.

Computed properties:
Electronic total energy: -61.95 eV for the cell shown
DFT formation energy: -0.17 eV per atom
Density: 6.7 g/cm³

Cell: 4.790 4.790 4.790 Å, 90.00 90.00 90.00°
Sites, in units of the cell vectors:
V 0.500 0.250 0.000
V 0.500 0.750 0.000
V 0.250 0.000 0.500
V 0.750 0.000 0.500
V 0.000 0.500 0.250
V 0.000 0.500 0.750
Ga 0.500 0.500 0.500
Ga 0.000 0.000 0.000



[4]
This record from the Materials Project describes a geometry-optimized LaOsN3 structure. The functional is PBE.

Computed properties:
Electronic total energy: -86.31 eV for the cell shown
DFT formation energy: -0.61 eV per atom
Density: 8.7 g/cm³

Cell: 3.665 5.700 6.747 Å, 90.00 90.00 90.00°
Sites, in units of the cell vectors:
La 0.000 0.250 0.208
La 0.000 0.750 0.792
Os 0.500 0.250 0.805
Os 0.500 0.750 0.195
N 0.500 0.507 0.406
N 0.500 0.000 0.000
N 0.500 0.993 0.406
N 0.500 0.493 0.594
N 0.500 0.500 0.000
N 0.500 0.007 0.594



[5]
This record from the Materials Project describes a geometry-optimized BiBr3 structure. The functional is PBE.

Computed properties:
Electronic total energy: -47.56 eV for the cell shown
DFT formation energy: -1.17 eV per atom
Total magnetization: 0.00 μB per cell
Density: 4.3 g/cm³

Cell: 12.796 7.400 7.672 Å, 72.15 90.00 90.00°
Sites, in units of the cell vectors:
Bi 0.333 0.496 0.002
Bi 0.833 0.004 0.998
Bi 0.167 0.996 0.002
Bi 0.667 0.504 0.998
Br 0.181 0.242 0.232
Br 0.501 0.288 0.231
Br 0.321 0.248 0.773
Br 0.821 0.252 0.227
Br 0.001 0.212 0.769
Br 0.319 0.742 0.232
Br 0.681 0.258 0.768
Br 0.999 0.788 0.231
Br 0.179 0.748 0.773
Br 0.679 0.752 0.227
Br 0.499 0.712 0.769
Br 0.819 0.758 0.768



[6]
This record from the Materials Project describes a geometry-optimized NaLaS2 structure. The functional is PBE.

Computed properties:
Electronic total energy: -21.64 eV for the cell shown
DFT formation energy: -2.03 eV per atom
Total magnetization: 0.00 μB per cell
Density: 3.8 g/cm³

Cell: 4.202 4.202 5.656 Å, 90.00 90.00 90.00°
Sites, in units of the cell vectors:
Na 0.000 0.000 0.000
La 0.500 0.500 0.500
S 0.000 0.000 0.500
S 0.500 0.500 0.000



[7]
This record from the Materials Project describes a geometry-optimized SrB6H8O14 structure. The functional is PBE.

Computed properties:
Electronic total energy: -778.49 eV for the cell shown
DFT formation energy: -2.28 eV per atom
Total magnetization: 0.00 μB per cell
Density: 2.3 g/cm³

Cell: 8.300 10.010 14.659 Å, 65.69 90.00 90.00°
Sites, in units of the cell vectors:
Sr 0.443 0.805 0.663
Sr 0.943 0.195 0.837
Sr 0.557 0.195 0.337
Sr 0.057 0.805 0.163
B 0.347 0.152 0.695
B 0.847 0.848 0.805
B 0.653 0.848 0.305
B 0.153 0.152 0.195
B 0.341 0.417 0.692
B 0.841 0.583 0.808
B 0.659 0.583 0.308
B 0.159 0.417 0.192
B 0.253 0.372 0.545
B 0.753 0.628 0.955
B 0.747 0.628 0.455
B 0.247 0.372 0.045
B 0.047 0.783 0.690
B 0.547 0.217 0.810
B 0.953 0.217 0.310
B 0.453 0.783 0.190
B 0.107 0.518 0.752
B 0.607 0.482 0.748
B 0.893 0.482 0.248
B 0.393 0.518 0.252
B 0.114 0.977 0.752
B 0.614 0.023 0.748
B 0.886 0.023 0.248
B 0.386 0.977 0.252
H 0.852 0.651 0.571
H 0.352 0.349 0.929
H 0.148 0.349 0.429
H 0.648 0.651 0.071
H 0.417 0.800 0.450
H 0.917 0.200 0.050
H 0.583 0.200 0.550
H 0.083 0.800 0.950
H 0.327 0.655 0.525
H 0.827 0.345 0.975
H 0.673 0.345 0.475
H 0.173 0.655 0.025
H 0.042 0.861 0.540
H 0.542 0.139 0.960
H 0.958 0.139 0.460
H 0.458 0.861 0.040
H 0.768 0.915 0.552
H 0.268 0.085 0.948
H 0.232 0.085 0.448
H 0.732 0.915 0.052
H 0.673 0.871 0.479
H 0.173 0.129 0.021
H 0.327 0.129 0.521
H 0.827 0.871 0.979
H 0.863 0.234 0.608
H 0.363 0.766 0.892
H 0.137 0.766 0.392
H 0.637 0.234 0.108
H 0.891 0.389 0.606
H 0.391 0.611 0.894
H 0.109 0.611 0.394
H 0.609 0.389 0.106
O 0.472 0.048 0.694
O 0.972 0.952 0.806
O 0.528 0.952 0.306
O 0.028 0.048 0.194
O 0.460 0.519 0.701
O 0.960 0.481 0.799
O 0.540 0.481 0.299
O 0.040 0.519 0.201
O 0.821 0.574 0.548
O 0.321 0.426 0.952
O 0.179 0.426 0.452
O 0.679 0.574 0.048
O 0.333 0.764 0.501
O 0.833 0.236 0.999
O 0.667 0.236 0.499
O 0.167 0.764 0.001
O 0.962 0.830 0.594
O 0.462 0.170 0.906
O 0.038 0.170 0.406
O 0.538 0.830 0.094
O 0.699 0.598 0.745
O 0.199 0.402 0.755
O 0.301 0.402 0.255
O 0.801 0.598 0.245
O 0.156 0.661 0.705
O 0.656 0.339 0.795
O 0.844 0.339 0.295
O 0.344 0.661 0.205
O 0.713 0.920 0.739
O 0.213 0.080 0.761
O 0.287 0.080 0.261
O 0.787 0.920 0.239
O 0.149 0.900 0.696
O 0.649 0.100 0.804
O 0.851 0.100 0.304
O 0.351 0.900 0.196
O 0.294 0.227 0.590
O 0.794 0.773 0.910
O 0.706 0.773 0.410
O 0.206 0.227 0.090
O 0.292 0.468 0.586
O 0.792 0.532 0.914
O 0.708 0.532 0.414
O 0.208 0.468 0.086
O 0.660 0.926 0.522
O 0.160 0.074 0.978
O 0.340 0.074 0.478
O 0.840 0.926 0.022
O 0.925 0.285 0.641
O 0.425 0.715 0.859
O 0.075 0.715 0.359
O 0.575 0.285 0.141
O 0.420 0.264 0.728
O 0.920 0.736 0.772
O 0.580 0.736 0.272
O 0.080 0.264 0.228



[8]
This record from the Materials Project describes a geometry-optimized HgBC4N4 structure. The functional is PBE.

Computed properties:
Electronic total energy: -590.90 eV for the cell shown
DFT formation energy: 0.19 eV per atom
Total magnetization: 0.04 μB per cell
Density: 2.9 g/cm³

Cell: 5.766 7.551 33.258 Å, 90.00 90.00 90.00°
Sites, in units of the cell vectors:
Hg 0.893 0.750 0.396
Hg 0.107 0.750 0.896
Hg 0.593 0.750 0.337
Hg 0.107 0.250 0.604
Hg 0.593 0.250 0.163
Hg 0.407 0.750 0.837
Hg 0.893 0.250 0.104
Hg 0.407 0.250 0.663
B 0.356 0.250 0.455
B 0.644 0.250 0.955
B 0.026 0.750 0.196
B 0.974 0.250 0.804
B 0.644 0.750 0.545
B 0.026 0.250 0.304
B 0.356 0.750 0.045
B 0.974 0.750 0.696
C 0.190 0.081 0.308
C 0.190 0.581 0.192
C 0.731 0.750 0.499
C 0.109 0.250 0.762
C 0.260 0.579 0.068
C 0.740 0.421 0.932
C 0.260 0.921 0.068
C 0.891 0.250 0.262
C 0.810 0.581 0.692
C 0.630 0.750 0.043
C 0.269 0.250 0.501
C 0.260 0.079 0.432
C 0.190 0.919 0.192
C 0.740 0.921 0.568
C 0.370 0.750 0.543
C 0.370 0.250 0.957
C 0.740 0.579 0.568
C 0.740 0.079 0.932
C 0.109 0.750 0.738
C 0.810 0.081 0.808
C 0.630 0.250 0.457
C 0.260 0.421 0.432
C 0.834 0.250 0.338
C 0.166 0.250 0.838
C 0.810 0.419 0.808
C 0.269 0.750 0.999
C 0.891 0.750 0.238
C 0.166 0.750 0.662
C 0.810 0.919 0.692
C 0.190 0.419 0.308
C 0.731 0.250 0.001
C 0.834 0.750 0.162
N 0.169 0.250 0.960
N 0.224 0.250 0.535
N 0.810 0.043 0.586
N 0.779 0.250 0.233
N 0.685 0.961 0.811
N 0.682 0.750 0.139
N 0.810 0.457 0.586
N 0.224 0.750 0.965
N 0.315 0.461 0.189
N 0.190 0.543 0.414
N 0.685 0.461 0.689
N 0.810 0.543 0.914
N 0.685 0.539 0.811
N 0.831 0.750 0.040
N 0.776 0.750 0.465
N 0.810 0.957 0.914
N 0.831 0.250 0.460
N 0.221 0.250 0.733
N 0.318 0.750 0.639
N 0.190 0.957 0.414
N 0.315 0.539 0.311
N 0.221 0.750 0.767
N 0.315 0.961 0.311
N 0.169 0.750 0.540
N 0.190 0.457 0.086
N 0.190 0.043 0.086
N 0.682 0.250 0.361
N 0.779 0.750 0.267
N 0.318 0.250 0.861
N 0.315 0.039 0.189
N 0.776 0.250 0.035
N 0.685 0.039 0.689



[9]
This record from the Materials Project describes a geometry-optimized BaZn2As2O8 structure. The functional is PBE.

Computed properties:
Electronic total energy: -302.40 eV for the cell shown
DFT formation energy: -2.14 eV per atom
Total magnetization: 0.00 μB per cell
Density: 4.1 g/cm³

Cell: 10.200 8.965 9.587 Å, 88.58 90.00 90.00°
Sites, in units of the cell vectors:
Ba 0.916 0.251 0.609
Ba 0.416 0.749 0.891
Ba 0.084 0.749 0.391
Ba 0.584 0.251 0.109
Zn 0.686 0.580 0.442
Zn 0.186 0.420 0.058
Zn 0.314 0.420 0.558
Zn 0.814 0.580 0.942
Zn 0.923 0.072 0.217
Zn 0.423 0.928 0.283
Zn 0.077 0.928 0.783
Zn 0.577 0.072 0.717
As 0.413 0.560 0.258
As 0.913 0.440 0.242
As 0.587 0.440 0.742
As 0.087 0.560 0.758
As 0.201 0.053 0.068
As 0.701 0.947 0.432
As 0.799 0.947 0.932
As 0.299 0.053 0.568
O 0.420 0.736 0.183
O 0.920 0.264 0.317
O 0.580 0.264 0.817
O 0.080 0.736 0.683
O 0.643 0.781 0.497
O 0.143 0.219 0.003
O 0.357 0.219 0.503
O 0.857 0.781 0.997
O 0.697 0.439 0.607
O 0.197 0.561 0.893
O 0.303 0.561 0.393
O 0.803 0.439 0.107
O 0.698 0.080 0.560
O 0.198 0.920 0.940
O 0.302 0.920 0.440
O 0.802 0.080 0.060
O 0.869 0.556 0.376
O 0.369 0.444 0.124
O 0.131 0.444 0.624
O 0.631 0.556 0.876
O 0.899 0.012 0.797
O 0.399 0.988 0.703
O 0.101 0.988 0.203
O 0.601 0.012 0.297
O 0.937 0.488 0.808
O 0.437 0.512 0.692
O 0.063 0.512 0.192
O 0.563 0.488 0.308
O 0.638 0.938 0.876
O 0.138 0.062 0.624
O 0.362 0.062 0.124
O 0.862 0.938 0.376



[10]
This record from the Materials Project describes a geometry-optimized Gd2Ni2Sn structure. The functional is PBE.

Computed properties:
Electronic total energy: -46.63 eV for the cell shown
DFT formation energy: -0.58 eV per atom
Density: 8.9 g/cm³

Cell: 5.497 5.497 5.497 Å, 134.01 117.29 81.19°
Sites, in units of the cell vectors:
Gd 0.296 0.796 0.500
Gd 0.704 0.204 0.500
Ni 0.711 0.500 0.211
Ni 0.289 0.500 0.789
Sn 0.000 0.000 0.000